# r²SCAN PrTl3, relaxed
data_PrTl3
_chemical_formula_sum 'Pr1 Tl3'
_space_group_name_H-M_alt 'P m -3 m'
_space_group_IT_number 221
_space_group_name_Hall '-P 4 2 3'
_cell_length_a 4.817
_cell_length_b 4.817
_cell_length_c 4.817
_cell_angle_alpha 90.00
_cell_angle_beta 90.00
_cell_angle_gamma 90.00
loop_
_atom_site_label
_atom_site_type_symbol
_atom_site_fract_x
_atom_site_fract_y
_atom_site_fract_z
Pr1 Pr 0.000 0.000 0.000
Tl1 Tl 0.000 0.500 0.500
# Uncorrected energy, eV/f.u.: -190.52
# Calculated formation energy, meV per atom: -396

# r²SCAN CdAu, relaxed
data_CdAu
_chemical_formula_sum 'Cd2 Au2'
_space_group_name_H-M_alt 'P m m a'
_space_group_IT_number 51
_space_group_name_Hall '-P 2a 2a'
_cell_length_a 4.777
_cell_length_b 3.035
_cell_length_c 5.213
_cell_angle_alpha 90.00
_cell_angle_beta 90.00
_cell_angle_gamma 90.00
loop_
_atom_site_label
_atom_site_type_symbol
_atom_site_fract_x
_atom_site_fract_y
_atom_site_fract_z
Cd1 Cd 0.250 0.000 0.187
Au1 Au 0.250 0.500 0.682
# Uncorrected energy, eV/f.u.: -71.10
# Calculated formation energy, meV per atom: -203

# r²SCAN YbZn2Sb2, relaxed
data_YbZn2Sb2
_chemical_formula_sum 'Yb2 Zn4 Sb4'
_space_group_name_H-M_alt 'C 1 2/m 1'
_space_group_IT_number 12
_space_group_name_Hall '-C 2y'
_cell_length_a 7.742
_cell_length_b 4.716
_cell_length_c 6.617
_cell_angle_alpha 90.00
_cell_angle_beta 90.95
_cell_angle_gamma 90.00
loop_
_atom_site_label
_atom_site_type_symbol
_atom_site_fract_x
_atom_site_fract_y
_atom_site_fract_z
Yb1 Yb 0.000 0.000 0.000
Zn1 Zn 0.174 0.500 0.668
Sb1 Sb 0.168 0.500 0.256
# Uncorrected energy, eV/f.u.: -107.72
# Calculated formation energy, meV per atom: -392